w) LiCuPO4: optimized geometry, GGA-PBE.

Lattice parameters (Å, degrees): 10.3072 6.1730 4.7981 90.00 90.00 90.00
With the nearest neighbours (Å) after each atom.
Atoms (fractional coordinates):
Li  0.2182  0.2500  0.0353  6 O 2.15-2.32
Li  0.2818  0.7500  0.5353  6 O 2.15-2.32
Li  0.7182  0.2500  0.4647  6 O 2.15-2.32
Li  0.7818  0.7500  0.9647  6 O 2.15-2.32
Cu  0.0000  0.0000  0.5000  4 O 2.05-2.06
Cu  0.0000  0.5000  0.5000  4 O 2.05-2.06
Cu  0.5000  0.0000  0.0000  4 O 2.05-2.06
Cu  0.5000  0.5000  0.0000  4 O 2.05-2.06
P  0.0958  0.7500  0.1063  4 O 1.52-1.61
P  0.4042  0.2500  0.6063  4 O 1.52-1.61
P  0.5958  0.7500  0.3937  4 O 1.52-1.61
P  0.9042  0.2500  0.8937  4 O 1.52-1.61
O  0.0480  0.2500  0.7645  1 P 1.61
O  0.1004  0.7500  0.7887  1 P 1.52
O  0.1551  0.5420  0.2393  1 P 1.56
O  0.1551  0.9580  0.2393  1 P 1.56
O  0.3449  0.0420  0.7393  1 P 1.56
O  0.3449  0.4580  0.7393  1 P 1.56
O  0.3996  0.2500  0.2887  1 P 1.52
O  0.4520  0.7500  0.2645  1 P 1.61
O  0.5480  0.2500  0.7355  1 P 1.61
O  0.6004  0.7500  0.7113  1 P 1.52
O  0.6551  0.5420  0.2607  1 P 1.56
O  0.6551  0.9580  0.2607  1 P 1.56
O  0.8449  0.0420  0.7607  1 P 1.56
O  0.8449  0.4580  0.7607  1 P 1.56
O  0.8996  0.2500  0.2113  1 P 1.52
O  0.9520  0.7500  0.2355  1 P 1.61

Results
Symmetry ... Pnma (62)

x) LiCuPO4: optimized geometry, GGA-PBE.

Lattice parameters (Å, degrees): 5.0478 5.3674 7.8878 90.00 129.12 90.00
With the nearest neighbours (Å) after each atom.
Atoms (fractional coordinates):
Li  0.0000  0.1644  0.0000  4 O 1.93-1.99
Li  0.0000  0.8356  0.5000  4 O 1.93-1.99
Cu  0.7426  0.3179  0.2541  4 O 1.94-2.08
Cu  0.7426  0.6821  0.7541  4 O 1.94-2.08
P  0.2571  0.3496  0.7529  4 O 1.54-1.56
P  0.2571  0.6504  0.2529  4 O 1.54-1.56
O  0.1306  0.3826  0.2360  1 P 1.54
O  0.1306  0.6174  0.7360  1 P 1.54
O  0.3469  0.2159  0.9590  1 P 1.56
O  0.3469  0.7841  0.4590  1 P 1.56
O  0.5804  0.3550  0.7697  1 P 1.55
O  0.5804  0.6450  0.2697  1 P 1.55
O  0.9778  0.1912  0.5484  1 P 1.56
O  0.9778  0.8088  0.0484  1 P 1.56

Results
Symmetry ... Pc (7)

y) LiCuPO4: optimized geometry, GGA-PBE.

Lattice parameters (Å, degrees): 8.5768 7.5780 17.2872 90.00 118.97 90.00
With the nearest neighbours (Å) after each atom.
Atoms (fractional coordinates):
Li  0.0036  0.0943  0.2536  3 O 1.92-1.94
Li  0.0036  0.4057  0.7536  3 O 1.92-1.94
Li  0.2899  0.0244  0.5674  4 O 2.05-2.19
Li  0.2899  0.4756  0.0674  4 O 2.05-2.19
Li  0.3556  0.0295  0.0882  4 O 2.06-2.31
Li  0.3556  0.4705  0.5883  4 O 2.06-2.31
Li  0.6444  0.5295  0.4118  4 O 2.06-2.31
Li  0.6444  0.9705  0.9118  4 O 2.06-2.31
Li  0.7101  0.5244  0.9326  4 O 2.05-2.19
Li  0.7101  0.9756  0.4326  4 O 2.05-2.19
Li  0.9964  0.5943  0.2464  3 O 1.92-1.94
Li  0.9964  0.9057  0.7464  3 O 1.92-1.94
Cu  0.0154  0.1768  0.9203  4 O 1.97-2.02
Cu  0.0154  0.3232  0.4203  4 O 1.97-2.02
Cu  0.3205  0.1819  0.7404  4 O 1.94-2.02
Cu  0.3205  0.3181  0.2404  4 O 1.94-2.02
Cu  0.3468  0.6729  0.9057  4 O 1.94-2.05
Cu  0.3468  0.8271  0.4057  4 O 1.94-2.05
Cu  0.6532  0.1729  0.5943  4 O 1.94-2.05
Cu  0.6532  0.3271  0.0943  4 O 1.94-2.05
Cu  0.6795  0.6819  0.7596  4 O 1.94-2.02
Cu  0.6795  0.8181  0.2596  4 O 1.94-2.02
Cu  0.9846  0.6768  0.5797  4 O 1.97-2.02
Cu  0.9846  0.8232  0.0797  4 O 1.97-2.02
P  0.0315  0.7281  0.4242  4 O 1.55-1.56
P  0.0315  0.7719  0.9242  4 O 1.55-1.56
P  0.3116  0.7235  0.2299  4 O 1.55-1.56
P  0.3116  0.7765  0.7299  4 O 1.55-1.56
P  0.3557  0.2319  0.4099  4 O 1.55-1.56
P  0.3557  0.2681  0.9099  4 O 1.55-1.56
P  0.6443  0.7319  0.0901  4 O 1.55-1.56
P  0.6443  0.7681  0.5901  4 O 1.55-1.56
P  0.6884  0.2235  0.2701  4 O 1.55-1.56
P  0.6884  0.2765  0.7701  4 O 1.55-1.56
P  0.9685  0.2281  0.0758  4 O 1.55-1.56
P  0.9685  0.2719  0.5758  4 O 1.55-1.56
O  0.0765  0.2137  0.1780  1 P 1.55
O  0.0765  0.2863  0.6780  1 P 1.55
O  0.1034  0.2335  0.5416  1 P 1.56
O  0.1034  0.2665  0.0416  1 P 1.56
O  0.1353  0.5524  0.4628  1 P 1.56
O  0.1353  0.9476  0.9628  1 P 1.56
O  0.1495  0.2172  0.3627  1 P 1.55
O  0.1495  0.2828  0.8627  1 P 1.55
O  0.1754  0.6261  0.9546  1 P 1.55
O  0.1754  0.8739  0.4546  1 P 1.55
O  0.2108  0.7333  0.2845  1 P 1.56
O  0.2108  0.7667  0.7845  1 P 1.56
O  0.2468  0.6281  0.6594  1 P 1.55
O  0.2468  0.8719  0.1594  1 P 1.55
O  0.2618  0.5470  0.1767  1 P 1.56
O  0.2618  0.9530  0.6767  1 P 1.56
O  0.4148  0.1174  0.8690  1 P 1.55
O  0.4148  0.3826  0.3690  1 P 1.55
O  0.4206  0.2352  0.0097  1 P 1.56
O  0.4206  0.2648  0.5097  1 P 1.56
O  0.4379  0.0593  0.3953  1 P 1.56
O  0.4379  0.4407  0.8953  1 P 1.56
O  0.4867  0.2324  0.2026  1 P 1.55
O  0.4867  0.2676  0.7026  1 P 1.55
O  0.5133  0.7324  0.2974  1 P 1.55
O  0.5133  0.7676  0.7974  1 P 1.55
O  0.5621  0.5593  0.1047  1 P 1.56
O  0.5621  0.9407  0.6047  1 P 1.56
O  0.5794  0.7352  0.4903  1 P 1.56
O  0.5794  0.7648  0.9903  1 P 1.56
O  0.5852  0.6174  0.6310  1 P 1.55
O  0.5852  0.8826  0.1310  1 P 1.55
O  0.7382  0.0470  0.3233  1 P 1.56
O  0.7382  0.4530  0.8233  1 P 1.56
O  0.7532  0.1281  0.8406  1 P 1.55
O  0.7532  0.3719  0.3406  1 P 1.55
O  0.7892  0.2333  0.2155  1 P 1.56
O  0.7892  0.2667  0.7155  1 P 1.56
O  0.8246  0.1261  0.5454  1 P 1.55
O  0.8246  0.3739  0.0454  1 P 1.55
O  0.8505  0.7172  0.1373  1 P 1.55
O  0.8505  0.7828  0.6373  1 P 1.55
O  0.8647  0.0524  0.0372  1 P 1.56
O  0.8647  0.4476  0.5372  1 P 1.56
O  0.8966  0.7335  0.9584  1 P 1.56
O  0.8966  0.7665  0.4584  1 P 1.56
O  0.9235  0.7137  0.3220  1 P 1.55
O  0.9235  0.7863  0.8220  1 P 1.55

Results
Symmetry ... P2_1/c (14)

Which of them is the least stable? Correct choice: y).

w) LiCu6OF11: optimized geometry, GGA-PBE.

Lattice parameters (Å, degrees): 4.6926 5.4043 9.0291 89.79 88.95 89.67
With the nearest neighbours (Å) after each atom.
Atoms (fractional coordinates):
Li  0.0000  0.0000  0.0000  4 F 1.84-1.96
Cu  0.2700  0.5052  0.7731  1 O 1.87, 3 F 1.92-2.00
Cu  0.3185  0.8185  0.4925  1 O 1.93, 4 F 1.99-2.03
Cu  0.3497  0.1806  0.1669  5 F 1.93-2.10
Cu  0.7503  0.9792  0.7505  1 O 1.85, 3 F 1.93-2.05
Cu  0.7766  0.6451  0.1426  4 F 1.93-1.99
Cu  0.7860  0.3229  0.4561  4 F 1.88-1.94
O  0.4669  0.7707  0.6881  3 Cu 1.85-1.93
F  0.0384  0.2150  0.8423  1 Li 1.84, 2 Cu 2.00-2.05
F  0.0644  0.5324  0.5331  2 Cu 1.88-1.99
F  0.0983  0.8623  0.1901  1 Li 1.93, 2 Cu 1.97-2.10
F  0.4902  0.4510  0.0456  2 Cu 1.93
F  0.4978  0.1059  0.3801  3 Cu 1.93-2.10
F  0.5452  0.2735  0.6937  2 Cu 1.92-1.93
F  0.5838  0.6021  0.3726  2 Cu 1.94-2.01
F  0.6099  0.9525  0.0584  1 Li 1.91, 2 Cu 1.98-1.99
F  0.9729  0.7259  0.8590  1 Li 1.96, 2 Cu 1.98
F  0.9868  0.0413  0.5323  2 Cu 1.92-1.99
F  0.9867  0.3500  0.2060  2 Cu 1.96

Results
Symmetry ... P1 (1)

x) LiCu6OF11: optimized geometry, GGA-PBE.

Lattice parameters (Å, degrees): 4.6290 5.3916 9.2641 89.86 88.63 89.96
With the nearest neighbours (Å) after each atom.
Atoms (fractional coordinates):
Li  0.0000  0.0000  0.0000  1 O 1.89, 3 F 1.90-1.96
Cu  0.2355  0.6618  0.5395  4 F 1.93-1.97
Cu  0.2378  0.3427  0.8528  4 F 1.92-1.98
Cu  0.2390  0.9814  0.2383  1 O 1.85, 3 F 1.93-1.97
Cu  0.6692  0.8064  0.8327  5 F 1.91-2.11
Cu  0.7313  0.1679  0.5358  4 F 1.93-1.96
Cu  0.7692  0.5075  0.2244  1 O 1.83, 3 F 1.94-2.01
O  0.9851  0.7661  0.1523  2 Cu 1.83-1.85, 1 Li 1.89
F  0.0284  0.6326  0.7801  2 Cu 1.96
F  0.0375  0.2541  0.1405  1 Li 1.90, 2 Cu 1.97-1.99
F  0.0400  0.9560  0.4657  2 Cu 1.93-1.96
F  0.4012  0.0352  0.9358  1 Li 1.95, 2 Cu 1.98
F  0.4376  0.3787  0.6243  2 Cu 1.94-1.96
F  0.4689  0.7125  0.3127  2 Cu 1.93-1.94
F  0.5251  0.5351  0.9469  2 Cu 1.91-1.92
F  0.5312  0.8800  0.6212  3 Cu 1.96-2.11
F  0.5341  0.2167  0.2956  2 Cu 1.95-2.01
F  0.9133  0.1248  0.8072  1 Li 1.96, 2 Cu 1.96-2.07
F  0.9431  0.4515  0.4580  2 Cu 1.93-1.94

Results
Symmetry ... P1 (1)

Which of them is the least stable? Correct choice: x).

w) CdN4Cl6: optimized geometry, GGA-PBE.

Lattice parameters (Å, degrees): 10.7060 10.7060 10.7060 114.10 114.10 114.10
With the nearest neighbours (Å) after each atom.
Atoms (fractional coordinates):
Cd  0.0000  0.0000  0.0000  2 N 1.98
Cd  0.5000  0.5000  0.5000  2 N 1.98
N  0.1475  0.7500  0.3525  2 Cl 1.71
N  0.2500  0.2500  0.2500  2 Cd 1.98
N  0.2500  0.6475  0.8525  2 Cl 1.71
N  0.3525  0.1475  0.7500  2 Cl 1.71
N  0.6475  0.8525  0.2500  2 Cl 1.71
N  0.7500  0.3525  0.1475  2 Cl 1.71
N  0.7500  0.7500  0.7500  2 Cd 1.98
N  0.8525  0.2500  0.6475  2 Cl 1.71
Cl  0.0666  0.7303  0.1647  1 N 1.71
Cl  0.1647  0.0666  0.7303  1 N 1.71
Cl  0.2303  0.5666  0.6647  1 N 1.71
Cl  0.2697  0.8353  0.9334  1 N 1.71
Cl  0.3353  0.7697  0.4334  1 N 1.71
Cl  0.4334  0.3353  0.7697  1 N 1.71
Cl  0.5666  0.6647  0.2303  1 N 1.71
Cl  0.6647  0.2303  0.5666  1 N 1.71
Cl  0.7303  0.1647  0.0666  1 N 1.71
Cl  0.7697  0.4334  0.3353  1 N 1.71
Cl  0.8353  0.9334  0.2697  1 N 1.71
Cl  0.9334  0.2697  0.8353  1 N 1.71

Results
Symmetry ... R-3c (167)

x) CdN4Cl6: optimized geometry, GGA-PBE.

Lattice parameters (Å, degrees): 9.8875 9.8875 9.8875 113.07 113.07 113.07
With the nearest neighbours (Å) after each atom.
Atoms (fractional coordinates):
Cd  0.0000  0.0000  0.0000  2 N 1.99
Cd  0.5000  0.5000  0.5000  2 N 1.99
N  0.0104  0.7500  0.4896  2 Cl 1.71
N  0.2500  0.2500  0.2500  2 Cd 1.99
N  0.2500  0.5104  0.9896  2 Cl 1.71
N  0.4896  0.0104  0.7500  2 Cl 1.71
N  0.5104  0.9896  0.2500  2 Cl 1.71
N  0.7500  0.4896  0.0104  2 Cl 1.71
N  0.7500  0.7500  0.7500  2 Cd 1.99
N  0.9896  0.2500  0.5104  2 Cl 1.71
Cl  0.0474  0.3284  0.9236  1 N 1.71
Cl  0.0764  0.9526  0.6716  1 N 1.71
Cl  0.1716  0.4526  0.5764  1 N 1.71
Cl  0.3284  0.9236  0.0474  1 N 1.71
Cl  0.4236  0.8284  0.5474  1 N 1.71
Cl  0.4526  0.5764  0.1716  1 N 1.71
Cl  0.5474  0.4236  0.8284  1 N 1.71
Cl  0.5764  0.1716  0.4526  1 N 1.71
Cl  0.6716  0.0764  0.9526  1 N 1.71
Cl  0.8284  0.5474  0.4236  1 N 1.71
Cl  0.9236  0.0474  0.3284  1 N 1.71
Cl  0.9526  0.6716  0.0764  1 N 1.71

Results
Symmetry ... R-3c (167)

Which of them is the least stable? Correct choice: x).